# B12S PBE optimized geometry
# Crystal system: trigonal
# Energy of formation: -0.019 eV per atom
# Total DFT energy (no corrections): -6.46 eV/atom
data_B12S
_cell_length_a 5.5916
_cell_length_b 5.5916
_cell_length_c 12.3401
_cell_angle_alpha 90.00
_cell_angle_beta 90.00
_cell_angle_gamma 120.00
_symmetry_space_group_name_H-M 'R 3 m'
_symmetry_Int_Tables_number 160
_symmetry_space_group_name_Hall 'R 3 -2"'
loop_
_atom_site_label
_atom_site_fract_x
_atom_site_fract_y
_atom_site_fract_z
_atom_site_occupancy
B1 0.0098 0.5049 0.0000 1
B2 0.0136 0.5068 0.6163 1
B3 0.1095 0.2190 0.1941 1
B4 0.2161 0.1080 0.4209 1
S1 0.0000 0.0000 0.7225 1

# B2S3 PBE optimized geometry
# Crystal system: tetragonal
# Energy of formation: -0.735 eV per atom
# Total DFT energy (no corrections): -5.59 eV/atom
data_B2S3
_cell_length_a 16.270
_cell_length_b 16.270
_cell_length_c 30.638
_cell_angle_alpha 90.00
_cell_angle_beta 90.00
_cell_angle_gamma 90.00
_symmetry_space_group_name_H-M 'I 41/a'
_symmetry_Int_Tables_number 88
loop_
_symmetry_equiv_pos_as_xyz
'x,y,z'
'-x,-y,-z'
'-y+3/4,x+1/4,z+1/4'
'y+3/4,-x+1/4,-z+1/4'
'-x+1/2,-y,z+1/2'
'x+1/2,y,-z+1/2'
'y+3/4,-x+3/4,z+3/4'
'-y+3/4,x+3/4,-z+3/4'
'x+1/2,y+1/2,z+1/2'
'-x+1/2,-y+1/2,-z+1/2'
'-y+1/4,x+3/4,z+3/4'
'y+1/4,-x+3/4,-z+3/4'
'-x,-y+1/2,z'
'x,y+1/2,-z'
'y+1/4,-x+1/4,z+1/4'
'-y+1/4,x+1/4,-z+1/4'
loop_
_atom_site_label
_atom_site_fract_x
_atom_site_fract_y
_atom_site_fract_z
_atom_site_occupancy
B1 0.000 0.250 0.269 1
B2 0.027 0.116 0.196 1
B3 0.027 0.118 0.053 1
B4 0.053 0.457 0.589 1
B5 0.053 0.482 0.876 1
B6 0.062 0.316 0.517 1
B7 0.067 0.324 0.662 1
B8 0.076 0.042 0.806 1
B9 0.076 0.049 0.659 1
B10 0.100 0.405 0.268 1
B11 0.107 0.410 0.126 1
B12 0.182 0.009 0.054 1
B13 0.187 0.465 0.518 1
S1 0.000 0.250 0.481 1
S2 0.000 0.250 0.625 1
S3 0.001 0.403 0.841 1
S4 0.004 0.110 0.697 1
S5 0.011 0.112 0.551 1
S6 0.017 0.477 0.377 1
S7 0.021 0.465 0.233 1
S8 0.030 0.465 0.087 1
S9 0.052 0.326 0.305 1
S10 0.053 0.329 0.160 1
S11 0.056 0.333 0.017 1
S12 0.102 0.061 0.015 1
S13 0.110 0.061 0.162 1
S14 0.114 0.028 0.448 1
S15 0.126 0.388 0.479 1
S16 0.130 0.429 0.912 1
S17 0.131 0.397 0.627 1
S18 0.156 0.485 0.306 1
S19 0.164 0.493 0.159 1
S20 0.206 0.491 0.733 1

# BS2 PBE optimized geometry
# Crystal system: monoclinic
# Energy of formation: -0.306 eV per atom
# Total DFT energy (no corrections): -4.95 eV/atom
data_BS2
_cell_length_a 13.943
_cell_length_b 4.232
_cell_length_c 17.553
_cell_angle_alpha 90.00
_cell_angle_beta 114.81
_cell_angle_gamma 90.00
_symmetry_space_group_name_H-M 'P 1 21/c 1'
_symmetry_Int_Tables_number 14
loop_
_symmetry_equiv_pos_as_xyz
'x,y,z'
'-x,-y,-z'
'-x,y+1/2,-z+1/2'
'x,-y+1/2,z+1/2'
loop_
_atom_site_label
_atom_site_fract_x
_atom_site_fract_y
_atom_site_fract_z
_atom_site_occupancy
B1 0.120 0.244 0.165 1
B2 0.264 0.021 0.592 1
B3 0.334 0.023 0.776 1
S1 0.004 0.593 0.347 1
S2 0.134 0.185 0.568 1
S3 0.214 0.198 0.774 1
S4 0.291 0.548 0.003 1
S5 0.371 0.585 0.192 1
S6 0.433 0.549 0.379 1

The lowest energy of formation belongs to which entry? B2S3

Number 2 is which compound? B2S3

Among the records above, which one has the highest total DFT energy (no corrections)? BS2

Which formula does entry 2 have? B2S3